Record 1
This record from the Materials Project database describes KAsW2O9 after structural relaxation. The functional is GGA+U.

Output
The value obtained for the total energy is -353.75 eV/cell. As for the space group: No. 19.

a b c (Å): 5.0653 9.3793 17.1496
angles (deg): 90.00 90.00 90.00
With the nearest neighbours (Å) after each atom.
Positions (direct):
O 0.9179 0.6860 0.7058  1 As 1.73
O 0.1242 0.7841 0.0228  2 W 1.91-1.99
O 0.7341 0.5962 0.2464  1 As 1.71
O 0.6242 0.7159 0.9772  2 W 1.91-1.99
O 0.3498 0.4269 0.6396  2 W 1.93-1.95
O 0.0128 0.2936 0.1104  1 W 1.76
O 0.3459 0.0138 0.4095  2 W 1.90-1.98
O 0.7496 0.9972 0.0145  1 W 1.76
O 0.9162 0.8838 0.2344  1 As 1.74
O 0.3758 0.2159 0.5228  2 W 1.91-1.99
O 0.5821 0.3140 0.2058  1 As 1.73
O 0.0237 0.7083 0.8666  1 As 1.70
O 0.4872 0.7064 0.6104  1 W 1.76
O 0.8758 0.2841 0.4772  2 W 1.91-1.99
O 0.8459 0.4862 0.5905  2 W 1.90-1.98
O 0.1541 0.9862 0.9095  2 W 1.90-1.98
O 0.8498 0.0731 0.3604  2 W 1.93-1.95
O 0.0821 0.1860 0.7942  1 As 1.73
O 0.7504 0.0028 0.5145  1 W 1.76
O 0.5838 0.1162 0.7344  1 As 1.74
O 0.9763 0.2083 0.6334  1 As 1.70
O 0.2659 0.0962 0.2536  1 As 1.71
O 0.4162 0.6162 0.7656  1 As 1.74
O 0.2341 0.9038 0.7536  1 As 1.71
O 0.2496 0.5028 0.9855  1 W 1.76
O 0.4179 0.8140 0.2942  1 As 1.73
O 0.6541 0.5138 0.0905  2 W 1.90-1.98
O 0.1502 0.5731 0.1396  2 W 1.93-1.95
O 0.2504 0.4972 0.4855  1 W 1.76
O 0.7659 0.4038 0.7464  1 As 1.71
O 0.6502 0.9269 0.8604  2 W 1.93-1.95
O 0.0838 0.3838 0.2656  1 As 1.74
O 0.4763 0.2917 0.3666  1 As 1.70
O 0.5128 0.2064 0.8896  1 W 1.76
O 0.9872 0.7936 0.3896  1 W 1.76
O 0.5237 0.7917 0.1334  1 As 1.70
K 0.7226 0.5500 0.4081  5 O 2.67-2.87
K 0.2774 0.0500 0.0919  5 O 2.67-2.87
K 0.7774 0.4500 0.9081  5 O 2.67-2.87
K 0.2226 0.9500 0.5919  5 O 2.67-2.87
W 0.3624 0.6342 0.0509  3 O 1.76-1.95
W 0.6376 0.1342 0.4491  3 O 1.76-1.95
W 0.1170 0.9342 0.3336  3 O 1.76-1.93
W 0.8624 0.8658 0.9491  3 O 1.76-1.95
W 0.8830 0.4342 0.1664  3 O 1.76-1.93
W 0.3830 0.0658 0.8336  3 O 1.76-1.93
W 0.6170 0.5658 0.6664  3 O 1.76-1.93
W 0.1376 0.3658 0.5509  3 O 1.76-1.95
As 0.8510 0.2318 0.7245  4 O 1.70-1.74
As 0.1490 0.7318 0.7755  4 O 1.70-1.74
As 0.3510 0.2682 0.2755  4 O 1.70-1.74
As 0.6490 0.7682 0.2245  4 O 1.70-1.74


Record 2
This record from the Materials Project database describes Na3LaMn3As3O15 after structural relaxation. The functional is GGA+U.

Output
The value obtained for the total energy is -329.29 eV/cell. As for the space group: No. 176.

a b c (Å): 11.3708 11.3708 6.1782
angles (deg): 90.00 90.00 120.00
With the nearest neighbours (Å) after each atom.
Positions (direct):
Mn 0.5000 0.0000 0.0000  4 O 1.92-2.06
Mn 0.5000 0.5000 0.5000  4 O 1.92-2.06
Mn 0.5000 0.0000 0.5000  4 O 1.92-2.06
Mn 0.0000 0.5000 0.5000  4 O 1.92-2.06
Mn 0.0000 0.5000 0.0000  4 O 1.92-2.06
Mn 0.5000 0.5000 0.0000  4 O 1.92-2.06
O 0.8312 0.3093 0.0195  1 As 1.74
O 0.6907 0.5219 0.0195  1 As 1.74
O 0.7723 0.9208 0.7500  1 As 1.69
O 0.4765 0.3893 0.7500  2 Mn 1.92
O 0.2277 0.0792 0.2500  1 As 1.69
O 0.4781 0.1688 0.0195  1 As 1.74
O 0.6537 0.0780 0.2500  1 As 1.72
O 0.5235 0.6107 0.2500  2 Mn 1.92
O 0.1688 0.6907 0.9805  1 As 1.74
O 0.1688 0.6907 0.5195  1 As 1.74
O 0.3893 0.9128 0.2500  2 Mn 1.92
O 0.3463 0.9220 0.7500  1 As 1.72
O 0.0780 0.4242 0.7500  1 As 1.72
O 0.4781 0.1688 0.4805  1 As 1.74
O 0.4242 0.3463 0.2500  1 As 1.72
O 0.6107 0.0872 0.7500  2 Mn 1.92
O 0.6907 0.5219 0.4805  1 As 1.74
O 0.3093 0.4781 0.5195  1 As 1.74
O 0.5219 0.8312 0.9805  1 As 1.74
O 0.8312 0.3093 0.4805  1 As 1.74
O 0.9208 0.1486 0.2500  1 As 1.69
O 0.5219 0.8312 0.5195  1 As 1.74
O 0.5758 0.6537 0.7500  1 As 1.72
O 0.9220 0.5758 0.2500  1 As 1.72
O 0.0792 0.8514 0.7500  1 As 1.69
O 0.9128 0.5235 0.7500  2 Mn 1.92
O 0.8514 0.7723 0.2500  1 As 1.69
O 0.3093 0.4781 0.9805  1 As 1.74
O 0.0872 0.4765 0.2500  2 Mn 1.92
O 0.1486 0.2277 0.7500  1 As 1.69
As 0.8161 0.2145 0.2500  4 O 1.69-1.74
As 0.6016 0.8161 0.7500  4 O 1.69-1.74
As 0.7855 0.6016 0.2500  4 O 1.69-1.74
As 0.1839 0.7855 0.7500  4 O 1.69-1.74
As 0.3984 0.1839 0.2500  4 O 1.69-1.74
As 0.2145 0.3984 0.7500  4 O 1.69-1.74
Na 0.1575 0.2606 0.2500  2 O 2.33-2.56
Na 0.8425 0.7394 0.7500  2 O 2.33-2.56
Na 0.8969 0.1575 0.7500  2 O 2.33-2.56
Na 0.2606 0.1031 0.7500  2 O 2.33-2.56
Na 0.7394 0.8969 0.2500  2 O 2.33-2.56
Na 0.1031 0.8425 0.2500  2 O 2.33-2.56
La 0.3333 0.6667 0.2500  9 O 2.54-2.62
La 0.6667 0.3333 0.7500  9 O 2.54-2.62


Record 3
This record from the Materials Project database describes La2NiAs2O after structural relaxation. The functional is GGA+U.

Output
The value obtained for the total energy is -27.89 eV/cell. As for the space group: No. 123.

a b c (Å): 3.3231 3.3231 15.0431
angles (deg): 90.00 90.00 90.00
With the nearest neighbours (Å) after each atom.
Positions (direct):
La 0.5000 0.5000 0.8595  1 O 2.11
La 0.5000 0.5000 0.1405  1 O 2.11
O 0.5000 0.5000 0.0000  2 La 2.11
Ni 0.5000 0.5000 0.5000  2 As 2.35
As 0.5000 0.5000 0.3440  1 Ni 2.35
As 0.5000 0.5000 0.6560  1 Ni 2.35


Record 4
This record from the Materials Project database describes LiMnAsO5 after structural relaxation. The functional is GGA+U.

Output
The value obtained for the total energy is -201.38 eV/cell.

a b c (Å): 5.4486 10.2010 7.0558
angles (deg): 74.65 74.16 96.38
With the nearest neighbours (Å) after each atom.
Positions (direct):
As 0.9979 0.1568 0.6044  4 O 1.72-1.73
As 0.5021 0.3432 0.8957  4 O 1.72-1.73
As 0.4981 0.6567 0.1046  4 O 1.72-1.73
As 0.0019 0.8433 0.3955  4 O 1.72-1.73
O 0.3756 0.5326 0.3456  1 As 1.73
O 0.5913 0.0557 0.2083  2 Mn 1.87-1.89, 1 Li 1.95
O 0.8225 0.6589 0.9888  1 As 1.73
O 0.0917 0.5557 0.7085  2 Mn 1.88-1.89, 1 Li 1.95
O 0.3222 0.1590 0.4885  1 As 1.73
O 0.6716 0.3735 0.0598  1 As 1.73
O 0.1778 0.3411 0.0115  1 As 1.73
O 0.9824 0.6848 0.3532  1 As 1.72, 1 Mn 1.92
O 0.9087 0.4442 0.2917  2 Mn 1.87-1.89, 1 Li 1.95
O 0.6247 0.4674 0.6548  1 As 1.73
O 0.6776 0.8411 0.5112  1 As 1.73
O 0.4083 0.9443 0.7914  2 Mn 1.87-1.89, 1 Li 1.95
O 0.4823 0.1848 0.8529  1 As 1.72, 1 Mn 1.92
O 0.3288 0.6265 0.9404  1 As 1.73
O 0.1244 0.9674 0.1544  1 As 1.73
O 0.5174 0.8152 0.1469  1 As 1.72, 1 Mn 1.92
O 0.0175 0.3151 0.6472  1 As 1.72, 1 Mn 1.92
O 0.8752 0.0325 0.8452  1 As 1.73
O 0.8284 0.1266 0.4402  1 As 1.73
O 0.1712 0.8736 0.5596  1 As 1.73
Mn 0.0001 0.5000 0.5001  6 O 1.87-1.98
Mn 0.0002 0.5000 0.0002  6 O 1.89-1.97
Mn 0.4999 0.0000 0.4999  6 O 1.89-1.97
Mn 0.4997 0.0000 0.9999  6 O 1.87-1.98
Li 0.4576 0.6438 0.6230  4 O 1.95-2.11
Li 0.9571 0.1439 0.1230  4 O 1.95-2.11
Li 0.5431 0.3561 0.3770  4 O 1.95-2.11
Li 0.0425 0.8562 0.8770  4 O 1.95-2.11


Number 1: spin magnetization 0.01 Bohr magnetons per cell, total energy after the MP2020 corrections -413.98 eV per cell. Number 2: spin magnetization 24.01 Bohr magnetons per cell, total energy after the MP2020 corrections -359.90 eV per cell. Number 3: spin magnetization 1.97 Bohr magnetons per cell, total energy after the MP2020 corrections -31.12 eV per cell. Number 4: spin magnetization 12.00 Bohr magnetons per cell, total energy after the MP2020 corrections -221.79 eV per cell.